# 1
VASP calculation (r2SCAN) on a relaxed LuZnRh crystal. Values from VASP.

```
&SYSTEM
  ibrav = 0, nat = 12, ntyp = 3
/
ATOMIC_SPECIES
Lu 174.97 Lu.upf
Rh 102.91 Rh.upf
Zn 65.41 Zn.upf
CELL_PARAMETERS angstrom
-3.5293 -0.1648 1.7187
-1.8195 -4.9921 -4.2148
2.7781 -5.3924 5.1876
ATOMIC_POSITIONS angstrom
Lu -2.4961 -8.5827 0.7879
Rh 0.1806 -8.5035 1.8009
Lu -1.2073 -6.8224 3.6030
Zn -2.0977 -4.3076 2.0157
Rh 0.3997 -4.6667 2.6187
Rh -2.9704 -5.8826 0.0728
Zn 1.4770 -5.7652 4.7256
Rh -2.7513 -2.0458 0.8906
Zn -0.4730 -6.2418 0.6757
Lu -1.3634 -3.7270 -0.9115
Zn -4.0477 -4.7841 -2.0341
Lu -0.0746 -1.9667 1.9036
```

Values from the calculation:
Space group ... Pnma, No. 62
Total magnetic moment ... 0.000 μB per formula unit

# 2
VASP calculation (r2SCAN) on a relaxed DyMg2Cu9 crystal. Values from VASP.

```
&SYSTEM
  ibrav = 0, nat = 24, ntyp = 3
/
ATOMIC_SPECIES
Cu 63.55 Cu.upf
Dy 162.50 Dy.upf
Mg 24.30 Mg.upf
CELL_PARAMETERS angstrom
2.4735 -4.2841 0.0000
2.4735 4.2841 0.0000
0.0000 0.0000 16.0598
ATOMIC_POSITIONS angstrom
Cu 3.7012 0.7192 6.0486
Cu 3.7012 -0.7192 14.0772
Dy 2.4735 -1.4280 4.0152
Cu 2.4735 1.4280 4.0159
Cu 2.4735 -2.8456 10.0114
Cu 3.7012 -0.7192 10.0114
Dy 2.4735 1.4280 12.0447
Mg 2.4735 1.4280 8.5474
Cu 2.4735 -2.8456 14.0772
Cu 3.7012 0.7192 1.9824
Mg 2.4735 -1.4280 7.5123
Cu 2.4735 2.8456 6.0486
Cu 1.2458 -0.7192 10.0114
Cu 2.4735 2.8456 1.9824
Cu 1.2458 -0.7192 14.0772
Cu 2.4735 -1.4280 12.0441
Mg 2.4735 -1.4280 0.5177
Cu 4.9470 0.0000 4.0159
Mg 2.4735 1.4280 15.5422
Cu 1.2458 0.7192 1.9824
Cu 1.2458 0.7192 6.0486
Cu 4.9470 0.0000 16.0596
Cu 4.9470 0.0000 12.0441
Cu 4.9470 0.0000 8.0300
```

Values from the calculation:
Space group ... P6_3/mmc, No. 194
Total magnetic moment ... 0.000 μB per formula unit

# 3
VASP calculation (r2SCAN) on a relaxed YCuSi crystal. Values from VASP.

```
&SYSTEM
  ibrav = 0, nat = 6, ntyp = 3
/
ATOMIC_SPECIES
Y 88.91 Y.upf
Si 28.09 Si.upf
Cu 63.55 Cu.upf
CELL_PARAMETERS angstrom
4.0980 0.0000 0.0000
-2.0490 3.5489 0.0000
0.0000 0.0000 7.6645
ATOMIC_POSITIONS angstrom
Y 0.0000 0.0000 3.8323
Si 2.0490 1.1830 1.9161
Cu 0.0000 2.3660 1.9161
Si 0.0000 2.3660 5.7484
Y 0.0000 0.0000 0.0000
Cu 2.0490 1.1830 5.7484
```

Values from the calculation:
Space group ... P6_3/mmc, No. 194
Total magnetic moment ... 0.000 μB per formula unit

no.,ΔE_f (eV per atom)
1,-0.81
2,-0.17
3,-0.74